Entry 1:
The following is a PBE-GGA calculation of crystalline KCa2Si8O24 at its relaxed geometry, from Materials Project.

Output
Symmetry: P2_1/m, No. 11

a b c (Å): 23.361 6.646 7.129
angles (deg): 89.93 90.00 90.00
Sites, in units of the cell vectors:
1 K 0.250 0.577 0.002
2 K 0.750 0.423 0.998
3 Ca 0.500 0.500 0.000
4 Ca 0.000 0.500 0.000
5 Ca 0.500 0.500 0.500
6 Ca 0.000 0.500 0.500
7 Si 0.317 0.454 0.500
8 Si 0.683 0.546 0.500
9 Si 0.183 0.454 0.500
10 Si 0.817 0.546 0.500
11 Si 0.383 0.711 0.781
12 Si 0.617 0.288 0.782
13 Si 0.117 0.711 0.781
14 Si 0.883 0.288 0.782
15 Si 0.617 0.289 0.219
16 Si 0.383 0.712 0.218
17 Si 0.883 0.289 0.219
18 Si 0.117 0.712 0.218
19 Si 0.402 0.067 0.499
20 Si 0.598 0.933 0.501
21 Si 0.098 0.067 0.499
22 Si 0.902 0.933 0.501
23 O 0.327 0.591 0.688
24 O 0.673 0.409 0.688
25 O 0.173 0.591 0.688
26 O 0.827 0.409 0.688
27 O 0.673 0.409 0.312
28 O 0.327 0.591 0.312
29 O 0.827 0.409 0.312
30 O 0.173 0.591 0.312
31 O 0.467 0.158 0.499
32 O 0.533 0.842 0.501
33 O 0.033 0.158 0.499
34 O 0.967 0.842 0.501
35 O 0.203 0.179 0.950
36 O 0.797 0.821 0.050
37 O 0.297 0.179 0.950
38 O 0.703 0.821 0.050
39 O 0.250 0.382 0.500
40 O 0.750 0.618 0.500
41 O 0.481 0.064 0.999
42 O 0.519 0.936 0.001
43 O 0.019 0.064 0.999
44 O 0.981 0.936 0.001
45 O 0.441 0.585 0.760
46 O 0.559 0.413 0.760
47 O 0.059 0.585 0.760
48 O 0.941 0.413 0.760
49 O 0.559 0.415 0.240
50 O 0.441 0.587 0.240
51 O 0.941 0.415 0.240
52 O 0.059 0.587 0.240
53 O 0.362 0.744 0.999
54 O 0.638 0.256 0.001
55 O 0.138 0.744 0.999
56 O 0.862 0.256 0.001
57 O 0.358 0.259 0.500
58 O 0.642 0.741 0.500
59 O 0.142 0.259 0.500
60 O 0.858 0.741 0.500
61 O 0.387 0.934 0.686
62 O 0.613 0.064 0.688
63 O 0.113 0.934 0.686
64 O 0.887 0.064 0.688
65 O 0.613 0.066 0.314
66 O 0.387 0.936 0.312
67 O 0.887 0.066 0.314
68 O 0.113 0.936 0.312
69 O 0.250 0.082 0.924
70 O 0.750 0.918 0.076



Entry 2:
The following is a PBE-GGA calculation of crystalline K2Ca4USi4O16 at its relaxed geometry, from Materials Project.

Output
Symmetry: P-1, No. 2

a b c (Å): 6.722 6.766 9.811
angles (deg): 98.67 93.17 112.43
Sites, in units of the cell vectors:
1 K 0.672 0.322 0.545
2 K 0.328 0.678 0.455
3 Ca 0.226 0.968 0.887
4 Ca 0.774 0.032 0.113
5 Ca 0.742 0.484 0.928
6 Ca 0.258 0.516 0.072
7 U 0.000 0.000 0.500
8 Si 0.674 0.915 0.788
9 Si 0.326 0.085 0.212
10 Si 0.246 0.477 0.766
11 Si 0.754 0.523 0.234
12 O 0.626 0.105 0.886
13 O 0.374 0.895 0.114
14 O 0.837 0.843 0.878
15 O 0.163 0.157 0.122
16 O 0.744 0.974 0.636
17 O 0.256 0.026 0.364
18 O 0.439 0.704 0.738
19 O 0.561 0.296 0.262
20 O 0.080 0.553 0.855
21 O 0.920 0.447 0.145
22 O 0.147 0.346 0.606
23 O 0.853 0.654 0.394
24 O 0.354 0.358 0.861
25 O 0.646 0.642 0.139
26 O 0.841 0.074 0.366
27 O 0.159 0.926 0.634



Calculated values (μB per cell) of spin magnetization for the records, taken in order: 1.634; 0.000.
Calculated values (eV/atom) of E_form for the records, taken in order: -2.31; -3.35.